Record 1
Computed, not measured: an optimized crystal structure of AlTlBr4 at the r2SCAN level of DFT.

Values from the calculation:
Formation energy ... -28.9 kcal/mol of atoms
Calculated total energy ... -20.0767 eV/atom
V ... 852 Å³ per cell
Magnetization ... 0.00 μB per formula unit

Geometry as POSCAR:
```
AlTlBr4
1.0
-0.662 6.171 4.205
-1.537 -5.093 7.232
11.830 -2.280 5.209
Br Tl Al
16 4 4
Direct
0.066 0.782 0.589
0.266 0.453 0.101
0.423 0.160 0.373
0.266 0.547 0.399
0.934 0.782 0.089
0.254 0.203 0.635
0.734 0.547 0.899
0.746 0.203 0.135
0.734 0.453 0.601
0.254 0.797 0.865
0.577 0.160 0.873
0.934 0.218 0.411
0.423 0.840 0.127
0.746 0.797 0.365
0.577 0.840 0.627
0.066 0.218 0.911
0.097 0.000 0.250
0.625 0.500 0.250
0.903 0.000 0.750
0.375 0.500 0.750
0.784 0.715 0.546
0.216 0.285 0.454
0.216 0.715 0.046
0.784 0.285 0.954
```

Record 2
Computed, not measured: an optimized crystal structure of Ce3AlC at the r2SCAN level of DFT.

Values from the calculation:
Formation energy ... -8.0 kcal/mol of atoms
Calculated total energy ... -22.1880 eV/atom
V ... 124 Å³ per cell
Magnetization ... 2.55 μB per formula unit

Geometry as POSCAR:
```
Ce3AlC
1.0
-4.180 2.679 -0.474
-1.312 -2.746 -3.951
-2.383 -3.187 3.006
Al Ce C
1 3 1
Direct
0.000 0.000 0.000
0.000 0.500 0.500
0.500 0.000 0.500
0.500 0.500 0.000
0.500 0.500 0.500
```

Record 3
Computed, not measured: an optimized crystal structure of AlCr2C at the r2SCAN level of DFT.

Values from the calculation:
Formation energy ... -1.4 kcal/mol of atoms
Calculated total energy ... -11.7661 eV/atom
V ... 87 Å³ per cell
Magnetization ... 0.00 μB per formula unit

Geometry as POSCAR:
```
AlCr2C
1.0
2.825 0.000 0.000
-1.413 2.447 0.000
0.000 0.000 12.601
Cr C Al
4 2 2
Direct
0.667 0.333 0.585
0.667 0.333 0.915
0.333 0.667 0.415
0.333 0.667 0.085
0.000 0.000 0.000
0.000 0.000 0.500
0.333 0.667 0.750
0.667 0.333 0.250
```

Record 4
Computed, not measured: an optimized crystal structure of AlFe3C at the r2SCAN level of DFT.

Values from the calculation:
Formation energy ... 0.4 kcal/mol of atoms
Calculated total energy ... -11.9663 eV/atom
V ... 54 Å³ per cell
Magnetization ... 5.89 μB per formula unit

Geometry as POSCAR:
```
AlFe3C
1.0
3.789 0.000 0.000
0.000 3.790 0.000
0.000 0.000 3.790
Fe Al C
3 1 1
Direct
0.000 0.500 0.500
0.500 0.500 0.000
0.500 0.000 0.500
0.000 0.000 0.000
0.500 0.500 0.500
```

Record 5
Computed, not measured: an optimized crystal structure of GdAl3C3 at the r2SCAN level of DFT.

Values from the calculation:
Formation energy ... -9.1 kcal/mol of atoms
Calculated total energy ... -13.7436 eV/atom
V ... 177 Å³ per cell
Magnetization ... 7.00 μB per formula unit

Geometry as POSCAR:
```
GdAl3C3
1.0
1.715 -2.971 0.000
1.715 2.971 0.000
0.000 0.000 17.380
Al C Gd
6 6 2
Direct
0.333 0.667 0.365
0.333 0.667 0.135
0.667 0.333 0.250
0.333 0.667 0.750
0.667 0.333 0.635
0.667 0.333 0.865
0.333 0.667 0.595
0.667 0.333 0.750
0.667 0.333 0.095
0.667 0.333 0.405
0.333 0.667 0.905
0.333 0.667 0.250
0.000 0.000 0.000
0.000 0.000 0.500
```

Record 6
Computed, not measured: an optimized crystal structure of NaAlH2CO5 at the r2SCAN level of DFT.

Values from the calculation:
Formation energy ... -45.6 kcal/mol of atoms
Calculated total energy ... -7.6808 eV/atom
V ... 193 Å³ per cell
Magnetization ... 0.00 μB per formula unit

Geometry as POSCAR:
```
NaAlH2CO5
1.0
3.056 -1.696 5.774
-5.245 0.530 4.215
0.898 -3.745 -5.543
H O Na Al C
4 10 2 2 2
Direct
0.831 0.280 0.552
0.228 0.280 0.948
0.169 0.720 0.448
0.772 0.720 0.052
0.313 0.766 0.953
0.657 0.225 0.432
0.687 0.234 0.047
0.343 0.775 0.568
0.293 0.225 0.068
0.127 0.377 0.750
0.313 0.360 0.547
0.687 0.640 0.453
0.873 0.623 0.250
0.707 0.775 0.932
0.500 0.000 0.500
0.000 0.000 0.000
0.500 0.000 0.000
0.500 0.500 0.500
0.751 0.501 0.250
0.249 0.499 0.750
```

Record 7
Computed, not measured: an optimized crystal structure of Hf2Al3C4 at the r2SCAN level of DFT.

Values from the calculation:
Formation energy ... -14.9 kcal/mol of atoms
Calculated total energy ... -17.3458 eV/atom
V ... 210 Å³ per cell
Magnetization ... 0.00 μB per formula unit

Geometry as POSCAR:
```
Hf2Al3C4
1.0
3.318 0.000 0.000
-1.659 2.873 0.000
0.000 0.000 22.031
Hf C Al
4 8 6
Direct
0.333 0.667 0.558
0.667 0.333 0.058
0.667 0.333 0.442
0.333 0.667 0.942
0.667 0.333 0.873
0.000 0.000 0.000
0.000 0.000 0.750
0.000 0.000 0.500
0.667 0.333 0.627
0.333 0.667 0.373
0.333 0.667 0.127
0.000 0.000 0.250
0.333 0.667 0.250
0.000 0.000 0.841
0.000 0.000 0.159
0.667 0.333 0.750
0.000 0.000 0.659
0.000 0.000 0.341
```

Record 8
Computed, not measured: an optimized crystal structure of HoAl3C3 at the r2SCAN level of DFT.

Values from the calculation:
Formation energy ... -10.7 kcal/mol of atoms
Calculated total energy ... -12.3107 eV/atom
V ... 173 Å³ per cell
Magnetization ... 0.00 μB per formula unit

Geometry as POSCAR:
```
HoAl3C3
1.0
3.409 0.000 0.000
-1.704 2.952 0.000
0.000 0.000 17.205
C Al Ho
6 6 2
Direct
0.667 0.333 0.407
0.333 0.667 0.907
0.333 0.667 0.593
0.667 0.333 0.093
0.667 0.333 0.750
0.333 0.667 0.250
0.667 0.333 0.634
0.333 0.667 0.750
0.333 0.667 0.134
0.667 0.333 0.250
0.333 0.667 0.366
0.667 0.333 0.866
0.000 0.000 0.000
0.000 0.000 0.500
```